Entry 1:
Compound: Nb5Si3
Source: Materials Project
Functional: PBE
Structure: relaxed

abc: 7.5790 7.5790 7.5790
angles: 96.52 96.52 140.60
Last column: nearest neighbours and their distance in Å.
Atoms (fractional coordinates):
Nb  0.0760  0.2193  0.2953  6 Si 2.67-2.95, 3 Nb 2.92-2.98
Si  0.1647  0.6647  0.8294  10 Nb 2.67-2.95
Nb  0.4240  0.7193  0.1433  6 Si 2.67-2.95, 3 Nb 2.92-2.98
Nb  0.5760  0.2807  0.8567  6 Si 2.67-2.95, 3 Nb 2.92-2.98
Nb  0.7807  0.0760  0.8567  6 Si 2.67-2.95, 3 Nb 2.92-2.98
Nb  0.7193  0.5760  0.2953  6 Si 2.67-2.95, 3 Nb 2.92-2.98
Nb  0.2193  0.9240  0.1433  6 Si 2.67-2.95, 3 Nb 2.92-2.98
Nb  0.2500  0.7500  0.5000  2 Nb 2.55, 4 Si 2.68
Si  0.6647  0.8353  0.5000  10 Nb 2.67-2.95
Nb  0.2807  0.4240  0.7047  6 Si 2.67-2.95, 3 Nb 2.92-2.98
Nb  0.7500  0.2500  0.5000  2 Nb 2.55, 4 Si 2.68
Si  0.2500  0.2500  0.0000  2 Si 2.55, 8 Nb 2.67
Si  0.3353  0.1647  0.5000  10 Nb 2.67-2.95
Si  0.7500  0.7500  0.0000  2 Si 2.55, 8 Nb 2.67
Nb  0.9240  0.7807  0.7047  6 Si 2.67-2.95, 3 Nb 2.92-2.98
Si  0.8353  0.3353  0.1706  10 Nb 2.67-2.95

* formation energy from the elements: -0.612 eV/atom
* DFT total energy: -8.986 eV per atom
* E (MP2020): -8.96 eV per atom
* energy relative to the lowest polymorph listed for this composition: 41 meV/atom

---

Entry 2:
Compound: EuFe2
Source: Materials Project
Functional: PBE
Structure: relaxed

abc: 5.5013 5.5013 8.5363
angles: 90.00 90.00 120.00
Last column: nearest neighbours and their distance in Å.
Atoms (fractional coordinates):
Fe  0.2943  0.1471  0.2500  4 Fe 2.43-2.55
Fe  0.7057  0.8529  0.7500  4 Fe 2.43-2.55
Fe  0.1471  0.8529  0.7500  4 Fe 2.43-2.55
Eu  0.3333  0.6667  0.4427  12 Fe 3.17-3.21, 4 Eu 3.29-3.32
Eu  0.6667  0.3333  0.5573  12 Fe 3.17-3.21, 4 Eu 3.29-3.32
Fe  0.8529  0.7057  0.2500  4 Fe 2.43-2.55
Fe  0.1471  0.2943  0.7500  4 Fe 2.43-2.55
Eu  0.3333  0.6667  0.0573  12 Fe 3.17-3.21, 4 Eu 3.29-3.32
Fe  0.0000  0.0000  0.5000  6 Fe 2.55
Fe  0.8529  0.1471  0.2500  4 Fe 2.43-2.55
Eu  0.6667  0.3333  0.9427  12 Fe 3.17-3.21, 4 Eu 3.29-3.32
Fe  0.0000  0.0000  0.0000  6 Fe 2.55

* formation energy from the elements: 0.333 eV/atom
* DFT total energy: -8.732 eV per atom
* spin magnetization: 11.7 μB per formula unit

---

Entry 3:
Compound: Bi2Pd3S2
Source: Materials Project
Functional: PBE
Structure: relaxed

abc: 7.3227 7.3227 7.3227
angles: 109.47 109.47 109.47
Last column: nearest neighbours and their distance in Å.
Atoms (fractional coordinates):
Bi  0.0000  0.0074  0.5000  6 Pd 2.82-3.12
Pd  0.2792  0.5292  0.7500  2 S 2.35
S  0.5000  0.0000  0.5540  3 Pd 2.35
Bi  0.4926  0.4926  0.4926  6 Pd 2.82-3.12
S  0.9460  0.9460  0.9460  3 Pd 2.35
Pd  0.5292  0.7500  0.2792  2 S 2.35
Pd  0.7500  0.2792  0.5292  2 S 2.35
Pd  0.2500  0.2208  0.9708  2 S 2.35
Bi  0.5000  0.0000  0.0074  6 Pd 2.82-3.12
Pd  0.9708  0.2500  0.2208  2 S 2.35
S  0.0000  0.5540  0.5000  3 Pd 2.35
S  0.5540  0.5000  0.0000  3 Pd 2.35
Bi  0.0074  0.5000  0.0000  6 Pd 2.82-3.12
Pd  0.2208  0.9708  0.2500  2 S 2.35

* formation energy from the elements: -0.508 eV/atom
* DFT total energy: -4.878 eV per atom
* E (MP2020): -5.02 eV per atom
* energy relative to the lowest polymorph listed for this composition: 0 meV/atom

---

Entry 4:
Compound: ErAl10Re2
Source: Materials Project
Functional: PBE
Structure: relaxed

abc: 6.9671 6.9671 27.0185
angles: 90.00 90.00 95.76
Last column: nearest neighbours and their distance in Å.
Atoms (fractional coordinates):
Re  0.0000  0.5000  0.5000  10 Al 2.57-2.74
Al  0.1241  0.3804  0.4169  2 Re 2.55-2.57, 7 Al 2.64-2.84
Al  0.9679  0.4741  0.8285  2 Re 2.61, 6 Al 2.67-2.91
Al  0.8759  0.6196  0.5831  2 Re 2.55-2.57, 7 Al 2.64-2.84
Al  0.4024  0.5976  0.3657  5 Al 2.62-2.77, 2 Re 2.65
Re  0.7446  0.7510  0.6630  10 Al 2.55-2.80
Al  0.8352  0.1648  0.0339  2 Re 2.66, 7 Al 2.66-2.91
Re  0.5000  0.0000  0.5000  10 Al 2.57-2.74
Al  0.1243  0.8757  0.6460  6 Al 2.68-2.98, 2 Re 2.74
Al  0.5976  0.4024  0.8657  5 Al 2.62-2.77, 2 Re 2.65
Al  0.5289  0.7731  0.5807  2 Re 2.70-2.71, 6 Al 2.74-2.97
Al  0.2269  0.4711  0.5807  2 Re 2.70-2.71, 6 Al 2.74-2.97
Al  0.0321  0.5259  0.1715  2 Re 2.61, 6 Al 2.67-2.91
Al  0.4711  0.2269  0.0807  2 Re 2.70-2.71, 6 Al 2.74-2.97
Al  0.9063  0.0937  0.8005  6 Al 2.68-2.88, 2 Re 2.72
Al  0.8759  0.6196  0.9169  2 Re 2.55-2.57, 7 Al 2.64-2.84
Al  0.5259  0.0321  0.8285  2 Re 2.61, 6 Al 2.67-2.91
Al  0.0937  0.9063  0.3005  6 Al 2.68-2.88, 2 Re 2.72
Al  0.5970  0.8179  0.7500  2 Re 2.63, 6 Al 2.65-2.93
Er  0.6165  0.3835  0.7500  14 Al 3.04-3.29
Al  0.9063  0.0937  0.6995  6 Al 2.68-2.88, 2 Re 2.72
Al  0.1243  0.8757  0.8540  6 Al 2.68-2.98, 2 Re 2.74
Re  0.2554  0.2490  0.3370  10 Al 2.55-2.80
Al  0.6295  0.3705  0.1774  6 Al 2.62-2.91, 2 Re 2.69
Al  0.3804  0.1241  0.9169  2 Re 2.55-2.57, 7 Al 2.64-2.84
Al  0.3770  0.6230  0.4781  4 Al 2.66-2.84, 2 Re 2.74
Al  0.9679  0.4741  0.6715  2 Re 2.61, 6 Al 2.67-2.91
Al  0.1241  0.3804  0.0831  2 Re 2.55-2.57, 7 Al 2.64-2.84
Al  0.5289  0.7731  0.9193  2 Re 2.70-2.71, 6 Al 2.74-2.97
Al  0.1648  0.8352  0.9661  2 Re 2.66, 7 Al 2.66-2.91
Al  0.2610  0.0389  0.7500  7 Al 2.65-2.93, 2 Re 2.80
Al  0.4711  0.2269  0.4193  2 Re 2.70-2.71, 6 Al 2.74-2.97
Al  0.7731  0.5289  0.0807  2 Re 2.70-2.71, 6 Al 2.74-2.97
Al  0.9611  0.7390  0.7500  7 Al 2.65-2.93, 2 Re 2.80
Al  0.4741  0.9679  0.1715  2 Re 2.61, 6 Al 2.67-2.91
Al  0.2060  0.2060  0.5000  2 Re 2.62, 6 Al 2.64-2.85
Al  0.8179  0.5970  0.2500  2 Re 2.63, 6 Al 2.65-2.93
Al  0.4030  0.1821  0.2500  2 Re 2.63, 6 Al 2.65-2.93
Er  0.1242  0.8758  0.4153  12 Al 3.06-3.40, 2 Re 3.40
Al  0.1648  0.8352  0.5339  2 Re 2.66, 7 Al 2.66-2.91
Al  0.3804  0.1241  0.5831  2 Re 2.55-2.57, 7 Al 2.64-2.84
Re  0.7510  0.7446  0.3370  10 Al 2.55-2.80
Al  0.8757  0.1243  0.1460  6 Al 2.68-2.98, 2 Re 2.74
Al  0.5976  0.4024  0.6343  5 Al 2.62-2.77, 2 Re 2.65
Er  0.3835  0.6165  0.2500  14 Al 3.04-3.29
Al  0.6230  0.3770  0.5219  4 Al 2.66-2.84, 2 Re 2.74
Al  0.6295  0.3705  0.3226  6 Al 2.62-2.91, 2 Re 2.69
Al  0.7940  0.7940  0.0000  2 Re 2.62, 6 Al 2.64-2.85
Al  0.2060  0.2060  0.0000  2 Re 2.62, 6 Al 2.64-2.85
Al  0.6196  0.8759  0.0831  2 Re 2.55-2.57, 7 Al 2.64-2.84
Al  0.3705  0.6295  0.8226  6 Al 2.62-2.91, 2 Re 2.69
Re  0.0000  0.5000  0.0000  10 Al 2.57-2.74
Al  0.8757  0.1243  0.3540  6 Al 2.68-2.98, 2 Re 2.74
Re  0.2554  0.2490  0.1630  10 Al 2.55-2.80
Al  0.7390  0.9611  0.2500  7 Al 2.65-2.93, 2 Re 2.80
Al  0.6196  0.8759  0.4169  2 Re 2.55-2.57, 7 Al 2.64-2.84
Re  0.7446  0.7510  0.8370  10 Al 2.55-2.80
Er  0.8758  0.1242  0.5847  12 Al 3.06-3.40, 2 Re 3.40
Al  0.7731  0.5289  0.4193  2 Re 2.70-2.71, 6 Al 2.74-2.97
Al  0.4024  0.5976  0.1343  5 Al 2.62-2.77, 2 Re 2.65
Al  0.0937  0.9063  0.1995  6 Al 2.68-2.88, 2 Re 2.72
Er  0.1242  0.8758  0.0847  12 Al 3.06-3.40, 2 Re 3.40
Al  0.2269  0.4711  0.9193  2 Re 2.70-2.71, 6 Al 2.74-2.97
Re  0.7510  0.7446  0.1630  10 Al 2.55-2.80
Al  0.7940  0.7940  0.5000  2 Re 2.62, 6 Al 2.64-2.85
Re  0.5000  0.0000  0.0000  10 Al 2.57-2.74
Al  0.3770  0.6230  0.0219  4 Al 2.66-2.84, 2 Re 2.74
Al  0.3705  0.6295  0.6774  6 Al 2.62-2.91, 2 Re 2.69
Al  0.6230  0.3770  0.9781  4 Al 2.66-2.84, 2 Re 2.74
Re  0.2490  0.2554  0.8370  10 Al 2.55-2.80
Al  0.1821  0.4030  0.7500  2 Re 2.63, 6 Al 2.65-2.93
Al  0.8352  0.1648  0.4661  2 Re 2.66, 7 Al 2.66-2.91
Al  0.4741  0.9679  0.3285  2 Re 2.61, 6 Al 2.67-2.91
Al  0.0321  0.5259  0.3285  2 Re 2.61, 6 Al 2.67-2.91
Er  0.8758  0.1242  0.9153  12 Al 3.06-3.40, 2 Re 3.40
Re  0.2490  0.2554  0.6630  10 Al 2.55-2.80
Al  0.5259  0.0321  0.6715  2 Re 2.61, 6 Al 2.67-2.91
Al  0.0389  0.2610  0.2500  7 Al 2.65-2.93, 2 Re 2.80

* formation energy from the elements: -0.349 eV/atom
* DFT total energy: -5.496 eV per atom

---

Q: Which of these has the lowest formation energy from the elements?
A: Nb5Si3